{
  "formula": "NbAlCr",
  "functional": "PBE-GGA",
  "state": "optimized geometry",
  "lattice": [[3.072, 1.358, 3.665], [3.096, -3.347, 1.984], [5.820, 2.043, -5.636]],
  "species": ["Nb", "Nb", "Cr", "Al", "Nb", "Nb", "Al", "Cr", "Cr", "Cr", "Al", "Al"],
  "frac_coords": [[0.336, 0.336, 0.941], [0.668, 0.668, 0.069], [0.171, 0.649, 0.250], [0.995, 0.995, 0.495], [0.336, 0.336, 0.559], [0.668, 0.668, 0.431], [0.833, 0.343, 0.750], [0.649, 0.171, 0.250], [0.834, 0.834, 0.750], [0.172, 0.172, 0.250], [0.343, 0.833, 0.750], [0.995, 0.995, 0.005]],
  "formation_enthalpy_0k_ev_per_atom": -0.19
}